Material: Ba3Lu2MoO9
Method: DFT, r²SCAN
State: relaxed

Geometry as POSCAR:
```
Ba3Lu2MoO9
1.0
5.948 0.000 0.000
-2.974 5.151 0.000
0.000 0.000 7.282
Ba Lu Mo O
3 2 1 9
direct
0.000 0.000 0.000 Ba
0.333 0.667 0.680 Ba
0.667 0.333 0.320 Ba
0.333 0.667 0.165 Lu
0.667 0.333 0.835 Lu
0.000 0.000 0.500 Mo
0.000 0.500 0.000 O
0.154 0.308 0.349 O
0.154 0.846 0.349 O
0.308 0.154 0.651 O
0.500 0.000 0.000 O
0.500 0.500 0.000 O
0.692 0.846 0.349 O
0.846 0.154 0.651 O
0.846 0.692 0.651 O
```

Symmetry: P-3m1
Total magnetic moment: 0.000 μB/cell
Total energy: -18.962 eV/atom